1.
Material: KLi6BiO6
Method: DFT, PBE-GGA
State: relaxed

Cell and atoms, written as POSCAR:
```
KLi6BiO6
1.0
5.016 -4.310 0.000
5.016 4.310 0.000
-2.801 0.000 5.984
K Li Bi O
1 6 1 6
Cartesian
0.000 0.000 0.000
0.877 1.493 4.038
3.616 1.607 2.992
0.877 -1.493 4.038
6.354 1.493 1.946
3.616 -1.607 2.992
6.354 -1.493 1.946
-1.400 0.000 2.992
2.318 2.655 3.697
-0.140 0.000 4.699
4.914 2.655 2.287
2.318 -2.655 3.697
7.371 0.000 1.285
4.914 -2.655 2.287
```

## Properties
total magnetic moment = 0.0 μB per cell
MP2020-corrected energy = -70.1 eV/cell
symmetry = C2/m

---

2.
Material: KMgBi
Method: DFT, PBE-GGA
State: relaxed

Cell and atoms, written as POSCAR:
```
KMgBi
1.0
4.941 0.000 0.000
0.000 4.941 0.000
0.000 0.000 8.491
K Mg Bi
2 2 2
Cartesian
1.235 1.235 1.278
3.706 3.706 7.213
1.235 3.706 4.246
3.706 1.235 4.246
1.235 1.235 5.994
3.706 3.706 2.497
```

## Properties
symmetry = P4/nmm

---

3.
Material: K6MgBi2O8
Method: DFT, PBE-GGA
State: relaxed

Cell and atoms, written as POSCAR:
```
K6MgBi2O8
1.0
6.512 0.000 0.000
-1.735 6.695 0.000
-0.713 -1.069 7.835
K Mg Bi O
6 1 2 8
Cartesian
0.000 0.000 0.000
-0.117 0.048 3.395
0.504 1.311 6.287
3.319 -0.010 0.752
3.379 2.311 3.317
3.447 1.906 7.175
-0.747 4.103 5.770
0.274 3.349 1.685
2.036 5.152 4.845
-0.750 3.390 7.642
0.848 3.336 4.736
0.163 5.883 5.664
1.762 2.015 1.059
2.367 5.394 2.837
4.723 0.182 5.573
3.779 4.028 5.440
5.305 1.838 1.521
```

## Properties
total magnetic moment = 0.0 μB per cell
MP2020-corrected energy = -84.9 eV/cell
symmetry = P1

---

4.
Material: K6MgBi2O8
Method: DFT, PBE-GGA
State: relaxed

Cell and atoms, written as POSCAR:
```
K6MgBi2O8
1.0
6.514 0.000 0.000
-1.781 6.361 0.000
-0.439 -2.096 8.435
K Mg Bi O
6 1 2 8
Cartesian
0.000 0.000 0.000
-0.987 2.354 3.029
-0.954 1.562 7.042
2.083 0.745 2.659
2.204 2.441 5.706
3.042 -0.773 8.300
1.496 -1.100 5.382
2.051 4.210 1.171
3.394 5.259 4.286
-1.639 3.871 5.320
0.488 0.451 4.820
0.995 2.397 0.842
0.481 5.371 0.463
3.397 -1.158 5.672
2.816 3.387 3.029
3.058 1.893 8.152
4.630 -0.276 2.042
```

## Properties
total magnetic moment = 0.0 μB per cell
MP2020-corrected energy = -84.6 eV/cell
symmetry = P1

---

5.
Material: KMg14BiO16
Method: DFT, PBE-GGA
State: relaxed

Cell and atoms, written as POSCAR:
```
KMg14BiO16
1.0
8.776 0.000 0.000
0.000 8.776 0.000
0.000 0.000 4.488
K Mg Bi O
1 14 1 16
Cartesian
0.000 0.000 0.000
0.000 2.181 2.244
0.000 4.388 0.000
0.000 6.594 2.244
2.050 4.388 2.244
2.117 2.117 0.000
2.117 6.659 0.000
2.181 0.000 2.244
4.388 0.000 0.000
4.388 2.050 2.244
4.388 6.726 2.244
6.594 0.000 2.244
6.659 2.117 0.000
6.659 6.659 0.000
6.726 4.388 2.244
4.388 4.388 0.000
0.000 0.000 2.244
0.000 2.403 0.000
0.000 4.388 2.244
0.000 6.372 0.000
2.077 4.388 0.000
2.213 2.213 2.244
2.213 6.562 2.244
2.403 0.000 0.000
4.388 0.000 2.244
4.388 2.077 0.000
4.388 4.388 2.244
4.388 6.699 0.000
6.372 0.000 0.000
6.562 2.213 2.244
6.562 6.562 2.244
6.699 4.388 0.000
```

## Properties
total magnetic moment = 0.0 μB per cell
MP2020-corrected energy = -192.9 eV/cell
symmetry = P4/mmm

---

6.
Material: KMg14BiO16
Method: DFT, PBE-GGA
State: relaxed

Cell and atoms, written as POSCAR:
```
KMg14BiO16
1.0
4.470 0.000 0.000
0.000 8.720 0.000
0.000 0.000 8.937
K Mg Bi O
1 14 1 16
Cartesian
0.000 0.000 0.000
0.000 2.258 2.146
0.000 2.258 6.791
0.000 4.360 0.000
0.000 4.360 4.469
0.000 6.462 2.146
0.000 6.462 6.791
2.235 0.000 2.078
2.235 0.000 6.860
2.235 2.213 0.000
2.235 2.301 4.469
2.235 4.360 2.203
2.235 4.360 6.734
2.235 6.419 4.469
2.235 6.507 0.000
0.000 0.000 4.469
0.000 0.000 2.266
0.000 0.000 6.672
0.000 2.347 4.469
0.000 2.411 0.000
0.000 4.360 2.264
0.000 4.360 6.674
0.000 6.309 0.000
0.000 6.373 4.469
2.235 0.000 0.000
2.235 0.000 4.469
2.235 2.181 2.246
2.235 2.181 6.691
2.235 4.360 0.000
2.235 4.360 4.469
2.235 6.539 2.246
2.235 6.539 6.691
```

## Properties
total magnetic moment = 0.0 μB per cell
MP2020-corrected energy = -192.3 eV/cell
symmetry = Pmmm

---

7.
Material: KMgBiO3
Method: DFT, PBE-GGA
State: relaxed

Cell and atoms, written as POSCAR:
```
KMgBiO3
1.0
4.484 0.000 0.000
0.000 4.484 0.000
0.000 0.000 5.407
K Mg Bi O
1 1 1 3
Cartesian
0.000 0.000 0.000
0.000 0.000 2.703
2.242 2.242 2.703
0.000 2.242 2.703
2.242 0.000 2.703
2.242 2.242 0.000
```

## Properties
total magnetic moment = 0.0 μB per cell
MP2020-corrected energy = -29.4 eV/cell
symmetry = P4/mmm

---

8.
Material: K6MgBi2O8
Method: DFT, PBE-GGA
State: relaxed

Cell and atoms, written as POSCAR:
```
K6MgBi2O8
1.0
6.350 0.000 0.000
-0.293 7.171 0.000
-1.306 -1.163 7.573
K Mg Bi O
6 1 2 8
Cartesian
0.000 0.000 0.000
-0.539 0.041 3.324
-0.401 4.255 4.697
2.728 5.116 0.315
2.621 2.381 2.765
2.657 5.455 4.205
-1.111 1.668 6.124
1.916 0.769 6.454
5.866 3.649 1.340
1.118 2.516 0.339
0.943 4.773 2.379
0.596 1.799 5.039
0.873 6.007 6.132
3.853 0.493 5.329
4.358 4.683 2.395
4.926 1.798 1.595
4.289 3.294 6.940
```

## Properties
total magnetic moment = 0.0 μB per cell
MP2020-corrected energy = -85.2 eV/cell
symmetry = P1

---

9.
Material: KMgBiO3
Method: DFT, PBE-GGA
State: relaxed

Cell and atoms, written as POSCAR:
```
KMgBiO3
1.0
4.086 -3.175 0.000
4.086 3.175 0.000
-1.637 0.000 4.930
K Mg Bi O
1 1 1 3
Cartesian
0.000 0.000 0.000
2.368 0.000 2.907
4.990 0.000 1.590
2.277 1.622 1.900
2.277 -1.622 1.900
3.519 0.000 4.430
```

## Properties
total magnetic moment = 0.0 μB per cell
MP2020-corrected energy = -32.7 eV/cell
symmetry = Cm

---

10.
Material: K2MnBi2
Method: DFT, PBE-GGA
State: relaxed

Cell and atoms, written as POSCAR:
```
K2MnBi2
1.0
3.564 0.000 0.000
-0.046 3.564 0.000
-0.247 -0.025 19.786
K Mn Bi
2 1 2
Cartesian
0.000 0.000 0.000
-0.093 -0.010 7.901
3.341 3.541 13.846
-0.251 3.542 16.517
-0.181 3.550 11.174
```

## Properties
total magnetic moment = 4.2 μB per cell
symmetry = P1

---

11.
Material: KNaTi4Bi2O12
Method: DFT, PBE-GGA
State: relaxed

Cell and atoms, written as POSCAR:
```
KNaTi4Bi2O12
1.0
4.938 -2.790 0.000
4.938 2.790 0.000
-3.159 0.000 9.130
K Na Ti Bi O
1 1 4 2 12
Cartesian
0.000 0.000 0.000
3.394 0.000 4.581
0.153 0.000 3.471
3.270 0.000 1.133
3.515 0.000 8.020
6.621 0.000 5.685
0.526 0.000 6.977
7.040 0.000 2.443
3.875 1.435 2.240
2.306 1.337 6.765
1.541 0.000 2.251
1.536 0.000 8.986
5.661 1.389 4.518
4.107 1.392 9.081
2.306 -1.337 6.765
3.875 -1.435 2.240
4.879 0.000 6.780
8.054 0.000 4.427
5.661 -1.389 4.518
4.107 -1.392 9.081
```

## Properties
total magnetic moment = 0.0 μB per cell
MP2020-corrected energy = -157.4 eV/cell
symmetry = Cm

---

12.
Material: KNaTi4Bi2O12
Method: DFT, PBE-GGA
State: relaxed

Cell and atoms, written as POSCAR:
```
KNaTi4Bi2O12
1.0
7.774 0.000 0.000
0.000 3.890 4.257
0.000 -3.890 4.257
K Na Ti Bi O
1 1 4 2 12
Cartesian
0.000 0.000 0.000
3.887 0.000 4.108
1.964 -1.945 6.322
1.964 1.945 6.322
5.810 -1.945 6.322
5.810 1.945 6.322
0.000 0.000 3.772
3.887 0.000 8.053
0.000 -1.853 2.440
0.000 1.853 2.440
1.893 0.000 2.477
1.984 -1.937 4.570
1.984 1.937 4.570
2.043 0.000 6.701
3.887 -1.986 2.489
3.887 1.986 2.489
5.731 0.000 6.701
5.790 -1.937 4.570
5.790 1.937 4.570
5.881 0.000 2.477
```

## Properties
total magnetic moment = 0.0 μB per cell
MP2020-corrected energy = -157.8 eV/cell
symmetry = Amm2

---

13.
Material: KNb4Bi5O18
Method: DFT, PBE-GGA
State: relaxed

Cell and atoms, written as POSCAR:
```
KNb4Bi5O18
1.0
2.804 -12.639 0.000
2.804 12.639 0.000
-0.100 0.000 5.615
K Nb Bi O
1 4 5 18
Cartesian
0.000 0.000 0.000
2.747 10.446 2.753
2.733 2.206 5.589
2.733 -2.206 5.589
2.747 -10.446 2.753
2.684 7.569 0.191
3.002 5.082 2.993
2.554 0.000 3.049
3.002 -5.082 2.993
2.684 -7.569 0.191
1.397 6.275 1.445
1.458 6.253 4.251
0.385 0.000 2.665
2.503 8.573 2.586
1.262 2.281 1.015
1.689 2.122 3.766
1.262 -2.281 1.015
1.689 -2.122 3.766
3.135 4.050 5.388
2.595 0.000 5.250
1.397 -6.275 1.445
1.458 -6.253 4.251
4.067 1.785 1.418
4.393 1.910 4.186
3.135 -4.050 5.388
2.503 -8.573 2.586
4.067 -1.785 1.418
4.393 -1.910 4.186
```

## Properties
total magnetic moment = 0.0 μB per cell
MP2020-corrected energy = -217.6 eV/cell
symmetry = Cm

---

14.
Material: KSrNbBiO6
Method: DFT, PBE-GGA
State: relaxed

Cell and atoms, written as POSCAR:
```
KSrNbBiO6
1.0
8.428 0.000 0.000
0.000 8.430 0.000
0.000 0.000 8.459
K Sr Nb Bi O
4 4 4 4 24
Cartesian
2.107 2.107 2.115
2.107 6.322 2.115
6.321 2.107 6.344
6.321 6.322 6.344
2.107 2.107 6.344
2.107 6.322 6.344
6.321 2.107 2.115
6.321 6.322 2.115
0.000 0.000 0.000
0.000 4.215 4.229
4.214 0.000 4.229
4.214 4.215 0.000
0.000 0.000 4.229
0.000 4.215 0.000
4.214 0.000 0.000
4.214 4.215 4.229
0.112 1.994 0.122
0.112 2.221 4.108
0.234 0.117 6.448
0.234 4.097 6.240
1.993 4.350 4.175
1.993 8.294 0.055
2.221 4.350 0.055
2.221 8.294 4.175
3.980 0.117 6.240
3.980 4.097 6.448
4.103 1.994 4.108
4.103 2.221 0.122
4.326 6.209 8.337
4.326 6.436 4.351
4.448 4.332 2.011
4.448 8.312 2.219
6.207 0.135 4.284
6.207 4.079 8.404
6.436 0.135 8.404
6.436 4.079 4.284
8.194 4.332 2.219
8.194 8.312 2.011
8.317 6.209 4.351
8.317 6.436 8.337
```

## Properties
total magnetic moment = 0.0 μB per cell
MP2020-corrected energy = -286.0 eV/cell
symmetry = Pnnn

---

15.
Material: KSrNbBiO6
Method: DFT, PBE-GGA
State: relaxed

Cell and atoms, written as POSCAR:
```
KSrNbBiO6
1.0
0.000 4.232 4.232
4.232 0.000 4.232
4.232 4.232 0.000
K Sr Nb Bi O
1 1 1 1 6
Cartesian
0.000 0.000 0.000
4.232 4.232 4.232
2.116 2.116 2.116
6.348 6.348 6.348
2.116 2.116 0.109
2.116 0.109 2.116
4.123 2.116 2.116
0.109 2.116 2.116
2.116 4.123 2.116
2.116 2.116 4.123
```

## Properties
total magnetic moment = 0.0 μB per cell
MP2020-corrected energy = -71.2 eV/cell
symmetry = F-43m

---

Number 1: ΔH_f (0 K) -1710 meV per atom, electronic total energy -4.712 eV/atom. Number 2: ΔH_f (0 K) -468 meV per atom, electronic total energy -2.669 eV/atom. Number 3: ΔH_f (0 K) -1720 meV per atom, electronic total energy -4.668 eV/atom. Number 4: ΔH_f (0 K) -1702 meV per atom, electronic total energy -4.650 eV/atom. Number 5: ΔH_f (0 K) -2698 meV per atom, electronic total energy -5.685 eV/atom. Number 6: ΔH_f (0 K) -2680 meV per atom, electronic total energy -5.667 eV/atom. Number 7: ΔH_f (0 K) -1329 meV per atom, electronic total energy -4.559 eV/atom. Number 8: ΔH_f (0 K) -1738 meV per atom, electronic total energy -4.686 eV/atom. Number 9: ΔH_f (0 K) -1874 meV per atom, electronic total energy -5.105 eV/atom. Number 10: ΔH_f (0 K) 507 meV per atom, electronic total energy -3.326 eV/atom. Number 11: ΔH_f (0 K) -2812 meV per atom, electronic total energy -7.458 eV/atom. Number 12: ΔH_f (0 K) -2832 meV per atom, electronic total energy -7.478 eV/atom. Number 13: ΔH_f (0 K) -2413 meV per atom, electronic total energy -7.330 eV/atom. Number 14: ΔH_f (0 K) -2503 meV per atom, electronic total energy -6.739 eV/atom. Number 15: ΔH_f (0 K) -2474 meV per atom, electronic total energy -6.710 eV/atom.